(1)
The following is a DFT calculation (r2SCAN) of a geometry-optimized Ca3SiO structure. Values from VASP.

Geometry as Quantum ESPRESSO input:
```
&SYSTEM
  ibrav = 0, nat = 20, ntyp = 3
/
ATOMIC_SPECIES
Ca 40.08 Ca.upf
Si 28.09 Si.upf
O 16.00 O.upf
CELL_PARAMETERS angstrom
6.651 0.000 0.000
0.000 9.409 0.000
0.000 0.000 6.672
ATOMIC_POSITIONS angstrom
Ca 0.003 2.352 0.224
Ca 6.648 7.057 6.448
Ca 1.616 0.160 4.957
Ca 1.616 4.545 4.957
Ca 1.709 4.864 1.621
Ca 1.709 9.249 1.621
Ca 3.328 2.352 3.112
Ca 3.323 7.057 3.560
Ca 4.942 0.160 5.050
Ca 4.942 4.545 5.050
Ca 5.035 4.864 1.714
Ca 5.035 9.249 1.714
Si 0.017 7.057 3.333
Si 3.308 2.352 6.668
Si 3.343 7.057 0.003
Si 6.634 2.352 3.339
O 0.000 0.000 0.000
O 0.000 4.704 0.000
O 3.325 0.000 3.336
O 3.325 4.704 3.336
```

## Properties
For the total magnetization, the calculation gives 0.00 Bohr magnetons per cell. The calculation puts the formation energy at -1.633 eV per atom.

***

(2)
The following is a DFT calculation (r2SCAN) of a geometry-optimized Ca3SiO structure. Values from VASP.

Geometry as Quantum ESPRESSO input:
```
&SYSTEM
  ibrav = 0, nat = 10, ntyp = 3
/
ATOMIC_SPECIES
Ca 40.08 Ca.upf
Si 28.09 Si.upf
O 16.00 O.upf
CELL_PARAMETERS angstrom
-3.325 4.705 3.335
3.325 -4.705 3.335
3.325 4.705 -3.335
ATOMIC_POSITIONS angstrom
Ca 1.663 4.542 -1.667
Ca 1.663 -0.163 1.667
Ca 0.000 2.352 0.226
Ca 3.325 2.352 3.108
Ca -1.663 4.868 1.667
Ca 1.663 4.868 1.667
Si 3.325 2.352 -0.008
Si 0.000 2.352 3.342
O 0.000 0.000 0.000
O 0.000 4.705 0.000
```

## Properties
For the total magnetization, the calculation gives 0.00 Bohr magnetons per cell. The calculation puts the formation energy at -1.634 eV per atom.

***

(3)
The following is a DFT calculation (r2SCAN) of a geometry-optimized Ca3SiO structure. Values from VASP.

Geometry as Quantum ESPRESSO input:
```
&SYSTEM
  ibrav = 0, nat = 20, ntyp = 3
/
ATOMIC_SPECIES
Ca 40.08 Ca.upf
Si 28.09 Si.upf
O 16.00 O.upf
CELL_PARAMETERS angstrom
6.653 0.000 0.000
0.000 9.430 0.000
0.000 0.000 6.669
ATOMIC_POSITIONS angstrom
Ca 0.014 2.358 0.257
Ca 1.533 0.185 4.871
Ca 1.533 4.530 4.871
Ca 1.794 4.900 1.537
Ca 1.794 9.246 1.537
Ca 3.313 7.073 3.591
Ca 3.340 2.358 3.078
Ca 4.859 0.185 5.132
Ca 4.859 4.530 5.132
Ca 5.120 4.900 1.798
Ca 5.120 9.246 1.798
Ca 6.639 7.073 6.412
Si 0.061 7.073 3.325
Si 3.266 2.358 6.659
Si 3.387 7.073 0.010
Si 6.592 2.358 3.344
O 0.000 0.000 0.000
O 0.000 4.715 0.000
O 3.326 0.000 3.334
O 3.326 4.715 3.334
```

## Properties
For the total magnetization, the calculation gives 0.00 Bohr magnetons per cell. The calculation puts the formation energy at -1.633 eV per atom.

***

(4)
The following is a DFT calculation (r2SCAN) of a geometry-optimized CaZrTiSnO6 structure. Values from VASP.

Geometry as Quantum ESPRESSO input:
```
&SYSTEM
  ibrav = 0, nat = 10, ntyp = 5
/
ATOMIC_SPECIES
Ca 40.08 Ca.upf
Zr 91.22 Zr.upf
Ti 47.87 Ti.upf
Sn 118.71 Sn.upf
O 16.00 O.upf
CELL_PARAMETERS angstrom
0.000 4.008 4.008
4.008 0.000 4.008
4.008 4.008 0.000
ATOMIC_POSITIONS angstrom
Ca 0.000 0.000 0.000
Zr 6.012 6.012 6.012
Ti 2.004 2.004 2.004
Sn 4.008 4.008 4.008
O 2.004 2.004 0.060
O 2.004 0.060 2.004
O 3.948 2.004 2.004
O 0.060 2.004 2.004
O 2.004 3.948 2.004
O 2.004 2.004 3.948
```

## Properties
For the total magnetization, the calculation gives 0.00 Bohr magnetons per cell. The calculation puts the formation energy at -2.914 eV per atom.

***

(5)
The following is a DFT calculation (r2SCAN) of a geometry-optimized Ca2Ta2O7 structure. Values from VASP.

Geometry as Quantum ESPRESSO input:
```
&SYSTEM
  ibrav = 0, nat = 22, ntyp = 3
/
ATOMIC_SPECIES
Ca 40.08 Ca.upf
Ta 180.95 Ta.upf
O 16.00 O.upf
CELL_PARAMETERS angstrom
0.000 5.224 5.224
5.224 0.000 5.224
5.224 5.224 0.000
ATOMIC_POSITIONS angstrom
Ca 0.000 0.000 0.000
Ca 2.612 2.612 0.000
Ca 2.612 0.000 2.612
Ca 0.000 2.612 2.612
Ta 5.224 2.612 2.612
Ta 2.612 5.224 2.612
Ta 2.612 2.612 5.224
Ta 5.224 5.224 5.224
O 1.306 1.306 1.306
O 3.918 3.918 1.908
O 3.918 1.908 3.918
O 5.929 3.918 3.918
O 6.531 6.531 4.520
O 6.531 4.520 6.531
O 8.541 6.531 6.531
O 1.908 3.918 3.918
O 3.918 5.929 3.918
O 3.918 3.918 5.929
O 4.520 6.531 6.531
O 6.531 8.541 6.531
O 6.531 6.531 8.541
O 9.143 9.143 9.143
```

## Properties
For the total magnetization, the calculation gives 0.00 Bohr magnetons per cell. The calculation puts the formation energy at -3.315 eV per atom.

***

(6)
The following is a DFT calculation (r2SCAN) of a geometry-optimized Ca4Ta2O9 structure. Values from VASP.

Geometry as Quantum ESPRESSO input:
```
&SYSTEM
  ibrav = 0, nat = 30, ntyp = 3
/
ATOMIC_SPECIES
Ca 40.08 Ca.upf
Ta 180.95 Ta.upf
O 16.00 O.upf
CELL_PARAMETERS angstrom
5.638 0.000 0.000
-2.819 4.883 0.000
0.000 0.000 14.748
ATOMIC_POSITIONS angstrom
Ca 0.000 3.255 0.360
Ca 0.000 3.255 4.499
Ca 0.000 3.255 7.734
Ca 0.000 3.255 11.873
Ca 2.819 1.628 2.875
Ca 2.819 1.628 7.014
Ca 2.819 1.628 10.249
Ca 2.819 1.628 14.388
Ta 0.000 0.000 2.157
Ta 0.000 0.000 5.217
Ta 0.000 0.000 9.531
Ta 0.000 0.000 12.591
O -0.736 1.275 3.687
O -2.083 3.608 11.061
O -0.682 1.580 13.438
O -1.792 3.502 6.064
O 1.472 0.000 3.687
O 0.736 1.275 11.061
O 0.682 1.580 6.064
O -1.110 4.684 13.438
O 1.709 0.199 8.684
O 1.027 1.381 1.310
O 1.792 3.502 13.438
O 1.110 4.684 6.064
O 3.929 0.199 1.310
O 2.137 3.303 8.684
O 4.166 0.000 11.061
O 2.083 3.608 3.687
O 4.611 1.381 8.684
O 3.502 3.303 1.310
```

## Properties
For the total magnetization, the calculation gives 0.00 Bohr magnetons per cell. The calculation puts the formation energy at -3.327 eV per atom. Its energy above the lowest structure with this stoichiometry is 25 kJ/mol of formula units.

***

(7)
The following is a DFT calculation (r2SCAN) of a geometry-optimized Ca4Ta2O9 structure. Values from VASP.

Geometry as Quantum ESPRESSO input:
```
&SYSTEM
  ibrav = 0, nat = 60, ntyp = 3
/
ATOMIC_SPECIES
Ca 40.08 Ca.upf
Ta 180.95 Ta.upf
O 16.00 O.upf
CELL_PARAMETERS angstrom
9.825 0.000 0.000
0.000 5.531 0.000
-9.551 0.000 14.155
ATOMIC_POSITIONS angstrom
Ca 0.000 0.000 0.000
Ca -4.775 2.765 7.078
Ca -3.319 0.110 5.593
Ca -8.094 2.655 12.671
Ca -4.559 2.780 10.913
Ca 0.217 5.516 3.836
Ca 3.021 0.103 1.009
Ca -1.755 2.663 8.086
Ca 0.137 0.000 7.078
Ca 4.912 2.765 0.000
Ca 2.028 2.868 6.069
Ca -2.747 5.428 13.147
Ca 0.057 0.015 10.320
Ca 4.833 2.751 3.242
Ca 8.368 2.876 1.485
Ca 3.593 5.421 8.562
Ta -1.497 2.812 4.750
Ta -6.272 5.484 11.828
Ta 1.697 2.825 2.326
Ta -3.079 5.472 9.404
Ta 3.352 0.059 4.752
Ta -1.423 2.706 11.829
Ta 6.546 0.047 2.328
Ta 1.770 2.719 9.405
O -6.713 3.862 10.615
O -1.938 4.434 3.538
O -2.842 3.402 6.000
O -7.618 4.894 13.078
O -3.597 0.941 7.834
O 1.179 1.825 0.756
O -4.063 3.890 8.907
O 0.712 4.406 1.830
O -4.824 0.505 10.403
O -0.048 2.260 3.325
O -1.260 1.165 5.712
O -6.036 1.600 12.789
O -0.093 3.755 5.641
O -4.868 4.542 12.718
O 3.335 3.417 1.511
O -1.440 4.879 8.589
O 2.635 1.158 3.083
O -2.140 1.608 10.161
O 2.414 3.923 3.994
O -2.361 4.373 11.072
O 1.714 0.652 5.567
O -3.061 2.113 12.644
O 5.142 0.989 1.437
O 0.367 1.776 8.515
O 6.310 3.931 1.366
O 1.534 4.366 8.444
O 0.322 3.271 10.830
O 5.097 5.026 3.753
O -0.438 1.125 12.326
O 4.337 1.641 5.248
O -0.905 3.706 13.399
O 3.870 4.590 6.322
O 7.891 0.637 1.077
O 3.116 2.129 8.155
O 2.212 1.097 10.618
O 6.987 1.669 3.540
```

## Properties
For the total magnetization, the calculation gives 0.00 Bohr magnetons per cell. The calculation puts the formation energy at -3.344 eV per atom. Its energy above the lowest structure with this stoichiometry is 0 kJ/mol of formula units.

***

(8)
The following is a DFT calculation (r2SCAN) of a geometry-optimized CaTa4O11 structure. Values from VASP.

Geometry as Quantum ESPRESSO input:
```
&SYSTEM
  ibrav = 0, nat = 32, ntyp = 3
/
ATOMIC_SPECIES
Ca 40.08 Ca.upf
Ta 180.95 Ta.upf
O 16.00 O.upf
CELL_PARAMETERS angstrom
6.230 0.000 0.000
-3.115 5.395 0.000
0.000 0.000 12.305
ATOMIC_POSITIONS angstrom
Ca 0.000 3.597 3.076
Ca 3.115 1.798 9.229
Ta -1.117 1.934 6.152
Ta -1.998 3.461 0.000
Ta 0.000 3.597 9.229
Ta 2.233 0.000 6.152
Ta 1.117 1.934 0.000
Ta 3.997 0.000 0.000
Ta 1.998 3.461 6.152
Ta 3.115 1.798 3.076
O -0.766 1.327 0.000
O -2.349 4.068 6.152
O -1.012 2.341 8.069
O -1.593 3.348 10.388
O 1.532 0.000 0.000
O 0.766 1.327 6.152
O 0.000 3.597 0.420
O 0.000 3.597 5.732
O 1.012 2.341 10.388
O -0.581 5.101 8.069
O 2.534 0.294 4.236
O 1.522 2.047 1.917
O 1.593 3.348 8.069
O 0.581 5.101 10.388
O 3.696 0.294 1.917
O 2.103 3.054 4.236
O 3.115 1.798 6.572
O 3.115 1.798 11.885
O 4.698 0.000 6.152
O 2.349 4.068 0.000
O 4.708 2.047 4.236
O 4.127 3.054 1.917
```

## Properties
For the total magnetization, the calculation gives 0.00 Bohr magnetons per cell. The calculation puts the formation energy at -3.217 eV per atom.

***

(9)
The following is a DFT calculation (r2SCAN) of a geometry-optimized CaTeO3 structure. Values from VASP.

Geometry as Quantum ESPRESSO input:
```
&SYSTEM
  ibrav = 0, nat = 30, ntyp = 3
/
ATOMIC_SPECIES
Ca 40.08 Ca.upf
Te 127.60 Te.upf
O 16.00 O.upf
CELL_PARAMETERS angstrom
8.463 0.000 0.000
0.000 5.692 0.000
-3.925 0.000 10.642
ATOMIC_POSITIONS angstrom
Ca -0.504 0.000 1.413
Ca -2.243 5.271 6.561
Ca -1.210 5.591 10.073
Ca 5.748 2.745 0.569
Ca 6.781 2.425 4.081
Ca 5.042 2.846 9.229
Te 1.498 2.811 1.824
Te 0.770 5.144 5.050
Te -0.149 2.394 8.001
Te 4.687 5.240 2.641
Te 3.768 2.298 5.592
Te 3.039 5.657 8.819
O -0.211 2.250 2.309
O -1.682 1.326 8.046
O 1.090 4.131 0.553
O -0.462 0.819 5.284
O -0.469 3.828 5.499
O 1.581 1.476 0.514
O -1.114 3.941 8.451
O 0.872 4.978 3.205
O 0.417 1.763 9.676
O 4.120 4.609 0.966
O 3.666 2.132 7.437
O 5.651 1.095 2.191
O 2.956 4.321 10.128
O 5.007 0.982 5.143
O 4.999 3.665 5.358
O 3.447 1.285 10.089
O 6.219 4.172 2.596
O 4.749 5.095 8.333
```

## Properties
For the total magnetization, the calculation gives 0.00 Bohr magnetons per cell. The calculation puts the formation energy at -2.148 eV per atom.

***

(10)
The following is a DFT calculation (r2SCAN) of a geometry-optimized CaTeO3 structure. Values from VASP.

Geometry as Quantum ESPRESSO input:
```
&SYSTEM
  ibrav = 0, nat = 100, ntyp = 3
/
ATOMIC_SPECIES
Ca 40.08 Ca.upf
Te 127.60 Te.upf
O 16.00 O.upf
CELL_PARAMETERS angstrom
12.114 0.000 0.000
0.000 12.114 0.000
0.000 0.000 11.074
ATOMIC_POSITIONS angstrom
Ca 0.459 4.177 0.000
Ca 1.646 6.521 8.349
Ca 1.971 6.865 2.810
Ca 2.750 2.956 2.892
Ca 2.956 9.364 0.124
Ca 3.141 8.881 5.824
Ca 3.234 3.141 8.592
Ca 4.177 11.655 8.305
Ca 5.249 1.971 5.579
Ca 5.594 1.646 0.044
Ca 6.521 10.469 5.581
Ca 6.865 10.143 0.042
Ca 7.937 0.459 2.768
Ca 8.881 8.974 3.055
Ca 8.974 3.234 0.287
Ca 9.158 2.750 5.661
Ca 9.364 9.158 8.429
Ca 10.143 5.249 8.347
Ca 10.469 5.594 2.812
Ca 11.655 7.937 5.537
Te 0.096 4.643 5.493
Te 0.699 10.221 8.108
Te 0.768 10.078 3.083
Te 1.893 0.699 10.877
Te 2.036 0.768 5.851
Te 3.788 5.398 0.036
Te 4.148 5.347 5.862
Te 4.643 12.019 2.724
Te 5.347 7.966 3.094
Te 5.398 8.326 8.342
Te 6.717 3.788 2.805
Te 6.767 4.148 8.631
Te 7.472 0.096 8.261
Te 7.966 6.767 0.325
Te 8.326 6.717 5.573
Te 10.078 11.346 0.314
Te 10.221 11.415 5.340
Te 11.346 2.036 8.620
Te 11.415 1.893 2.571
Te 12.019 7.472 11.030
O 0.190 6.174 1.318
O 0.346 5.993 4.178
O 0.527 2.682 3.739
O 1.005 2.498 8.944
O 1.101 9.032 1.593
O 1.174 8.629 7.217
O 1.425 8.797 4.271
O 1.633 2.223 0.891
O 1.703 7.621 10.486
O 2.223 10.481 9.197
O 2.402 4.880 9.956
O 2.498 11.109 6.176
O 2.682 11.587 0.971
O 2.741 4.855 6.987
O 2.952 4.968 1.656
O 3.082 1.101 4.361
O 3.298 6.685 4.845
O 3.317 1.425 7.040
O 3.485 1.174 9.986
O 3.868 7.332 7.960
O 3.891 8.077 1.919
O 4.037 3.891 4.688
O 4.493 1.703 2.180
O 4.782 3.868 10.728
O 4.855 9.373 4.219
O 4.880 9.712 7.188
O 4.968 9.162 9.961
O 5.429 3.298 7.614
O 5.941 0.190 4.087
O 5.993 11.768 1.410
O 6.121 0.346 6.947
O 6.174 11.924 9.624
O 6.685 8.816 2.077
O 7.146 2.952 4.424
O 7.235 2.402 1.651
O 7.259 2.741 9.756
O 7.332 8.246 5.191
O 7.621 10.411 7.717
O 8.077 8.224 10.225
O 8.224 4.037 7.456
O 8.246 4.782 2.423
O 8.629 10.940 4.449
O 8.797 10.689 1.503
O 8.816 5.429 10.382
O 9.032 11.013 9.898
O 9.162 7.146 7.193
O 9.373 7.259 1.450
O 9.432 0.527 6.508
O 9.617 1.005 0.639
O 9.712 7.235 4.419
O 9.891 1.633 3.660
O 10.411 4.493 4.949
O 10.481 9.891 6.428
O 10.689 3.317 9.808
O 10.940 3.485 1.680
O 11.013 3.082 7.130
O 11.109 9.617 3.407
O 11.587 9.432 9.276
O 11.768 6.121 9.715
O 11.924 5.941 6.855
```

## Properties
For the total magnetization, the calculation gives 0.00 Bohr magnetons per cell. The calculation puts the formation energy at -2.164 eV per atom.

***

(11)
The following is a DFT calculation (r2SCAN) of a geometry-optimized CaTi2O5 structure. Values from VASP.

Geometry as Quantum ESPRESSO input:
```
&SYSTEM
  ibrav = 0, nat = 16, ntyp = 3
/
ATOMIC_SPECIES
Ca 40.08 Ca.upf
Ti 47.87 Ti.upf
O 16.00 O.upf
CELL_PARAMETERS angstrom
3.617 0.000 0.000
0.000 11.610 0.000
0.000 0.000 4.898
ATOMIC_POSITIONS angstrom
Ca 0.904 2.902 0.675
Ca 2.713 8.707 4.223
Ti 0.904 6.940 1.924
Ti 0.904 10.475 1.924
Ti 2.713 1.135 2.974
Ti 2.713 4.670 2.974
O 0.904 0.878 2.299
O 0.904 4.927 2.299
O 0.904 7.277 0.237
O 0.904 8.707 2.632
O 0.904 10.138 0.237
O 2.713 1.472 4.661
O 2.713 2.902 2.266
O 2.713 4.333 4.661
O 2.713 6.683 2.599
O 2.713 10.732 2.599
```

## Properties
For the total magnetization, the calculation gives 0.00 Bohr magnetons per cell. The calculation puts the formation energy at -3.369 eV per atom.

***

| no. | V (Å³/cell) |
| --- | --- |
| 1 | 417.5 |
| 2 | 208.7 |
| 3 | 418.4 |
| 4 | 128.8 |
| 5 | 285.2 |
| 6 | 406.0 |
| 7 | 769.2 |
| 8 | 413.6 |
| 9 | 512.6 |
| 10 | 1625.1 |
| 11 | 205.7 |